[1]
The following is a DFT calculation (PBE) of a geometry-optimized CuTeSe structure.

Unit cell a=6.4003 b=6.4003 c=6.4003 alpha=90.00 beta=90.00 gamma=90.00
Closest atoms and distances in Å follow each position.
Positions (direct):
Cu: 0.5102 0.4898 0.9898  3 Se 2.61, 3 Te 2.72
Cu: 0.4898 0.9898 0.5102  3 Se 2.61, 3 Te 2.72
Cu: 0.9898 0.5102 0.4898  3 Se 2.61, 3 Te 2.72
Cu: 0.0102 0.0102 0.0102  3 Se 2.61, 3 Te 2.72
Te: 0.8799 0.1201 0.6201  1 Se 2.62, 3 Cu 2.72
Te: 0.1201 0.6201 0.8799  1 Se 2.62, 3 Cu 2.72
Te: 0.6201 0.8799 0.1201  1 Se 2.62, 3 Cu 2.72
Te: 0.3799 0.3799 0.3799  1 Se 2.62, 3 Cu 2.72
Se: 0.1164 0.8836 0.3836  3 Cu 2.61, 1 Te 2.62
Se: 0.8836 0.3836 0.1164  3 Cu 2.61, 1 Te 2.62
Se: 0.3836 0.1164 0.8836  3 Cu 2.61, 1 Te 2.62
Se: 0.6164 0.6164 0.6164  3 Cu 2.61, 1 Te 2.62

***

[2]
The following is a DFT calculation (PBE) of a geometry-optimized Tl2CuSe2 structure.

Unit cell a=4.3926 b=4.3926 c=14.3737 alpha=90.00 beta=90.00 gamma=90.00
Closest atoms and distances in Å follow each position.
Positions (direct):
Tl: 0.5000 0.5000 0.6621  1 Se 2.64
Tl: 0.5000 0.5000 0.3379  1 Se 2.64
Cu: 0.5000 0.5000 0.0000  2 Se 2.22
Se: 0.5000 0.5000 0.1545  1 Cu 2.22
Se: 0.5000 0.5000 0.8455  1 Cu 2.22

***

[3]
The following is a DFT calculation (PBE) of a geometry-optimized Tl2CuSe2 structure.

Unit cell a=6.2667 b=6.2667 c=6.2372 alpha=120.16 beta=120.16 gamma=90.00
Closest atoms and distances in Å follow each position.
Positions (direct):
Tl: 0.2500 0.7500 0.5000  4 Se 3.13
Tl: 0.7500 0.2500 0.5000  4 Se 3.13
Cu: 0.0000 0.0000 0.0000  2 Se 2.24
Se: 0.2548 0.2548 0.5096  1 Cu 2.24
Se: 0.7452 0.7452 0.4904  1 Cu 2.24

***

[4]
The following is a DFT calculation (PBE) of a geometry-optimized TlZnCu3Se4 structure.

Unit cell a=5.9206 b=5.9206 c=5.9206 alpha=90.00 beta=90.00 gamma=90.00
Closest atoms and distances in Å follow each position.
Positions (direct):
Tl: 0.0000 0.0000 0.0000  4 Se 2.69, 6 Cu 2.96
Zn: 0.5000 0.5000 0.5000  4 Se 2.44
Cu: 0.0000 0.5000 0.0000  4 Se 2.61
Cu: 0.0000 0.0000 0.5000  4 Se 2.61
Cu: 0.5000 0.0000 0.0000  4 Se 2.61
Se: 0.2624 0.2624 0.2624  1 Zn 2.44, 3 Cu 2.61, 1 Tl 2.69
Se: 0.7376 0.7376 0.2624  1 Zn 2.44, 3 Cu 2.61, 1 Tl 2.69
Se: 0.2624 0.7376 0.7376  1 Zn 2.44, 3 Cu 2.61, 1 Tl 2.69
Se: 0.7376 0.2624 0.7376  1 Zn 2.44, 3 Cu 2.61, 1 Tl 2.69

***

[5]
The following is a DFT calculation (PBE) of a geometry-optimized U6Cu2Se13 structure.

Unit cell a=8.4890 b=8.4890 c=14.9709 alpha=98.63 beta=98.63 gamma=100.87
Closest atoms and distances in Å follow each position.
Positions (direct):
U: 0.0118 0.6676 0.8880  8 Se 2.90-3.04, 1 Cu 3.24
U: 0.3324 0.9882 0.6120  8 Se 2.90-3.04, 1 Cu 3.24
U: 0.9882 0.3324 0.1120  8 Se 2.90-3.04, 1 Cu 3.24
U: 0.6676 0.0118 0.3880  8 Se 2.90-3.04, 1 Cu 3.24
U: 0.1564 0.4951 0.6453  8 Se 2.86-3.04
U: 0.5049 0.8436 0.8547  8 Se 2.86-3.04
U: 0.8436 0.5049 0.3547  8 Se 2.86-3.04
U: 0.4951 0.1564 0.1453  8 Se 2.86-3.04
U: 0.8385 0.8220 0.6419  8 Se 2.84-3.02
U: 0.1780 0.1615 0.8581  8 Se 2.84-3.02
U: 0.1615 0.1780 0.3581  8 Se 2.84-3.02
U: 0.8220 0.8385 0.1419  8 Se 2.84-3.02
Cu: 0.6828 0.3915 0.8707  3 Se 2.33-2.35
Cu: 0.6085 0.3172 0.6293  3 Se 2.33-2.35
Cu: 0.3172 0.6085 0.1293  3 Se 2.33-2.35
Cu: 0.3915 0.6828 0.3707  3 Se 2.33-2.35
Se: 0.6864 0.6505 0.9521  1 Cu 2.34
Se: 0.3495 0.3136 0.5479  1 Cu 2.34
Se: 0.3136 0.3495 0.0479  1 Cu 2.34
Se: 0.6505 0.6864 0.4521  1 Cu 2.34
Se: 0.0682 0.1450 0.6676  4 U 2.84-3.01
Se: 0.8550 0.9318 0.8324  4 U 2.84-3.01
Se: 0.9318 0.8550 0.3324  4 U 2.84-3.01
Se: 0.1450 0.0682 0.1676  4 U 2.84-3.01
Se: 0.2788 0.5129 0.8371  4 U 2.88-3.04
Se: 0.4871 0.7212 0.6629  4 U 2.88-3.04
Se: 0.7212 0.4871 0.1629  4 U 2.88-3.04
Se: 0.5129 0.2788 0.3371  4 U 2.88-3.04
Se: 0.8428 0.5119 0.7020  1 Cu 2.33
Se: 0.4881 0.1572 0.7980  1 Cu 2.33
Se: 0.1572 0.4881 0.2980  1 Cu 2.33
Se: 0.5119 0.8428 0.2020  1 Cu 2.33
Se: 0.9380 0.3299 0.9157  1 Cu 2.35
Se: 0.6701 0.0620 0.5843  1 Cu 2.35
Se: 0.0620 0.6701 0.0843  1 Cu 2.35
Se: 0.3299 0.9380 0.4157  1 Cu 2.35
Se: 0.0618 0.7107 0.5240  4 U 2.90-2.99
Se: 0.2893 0.9382 0.9760  4 U 2.90-2.99
Se: 0.9382 0.2893 0.4760  4 U 2.90-2.99
Se: 0.7107 0.0618 0.0240  4 U 2.90-2.99
Se: 0.1710 0.8290 0.7500  6 U 2.99-3.02, 4 Se 3.32
Se: 0.8290 0.1710 0.2500  6 U 2.99-3.02, 4 Se 3.32

***

[6]
The following is a DFT calculation (PBE) of a geometry-optimized U3Cu2Se7 structure.

Unit cell a=10.1590 b=10.1590 c=5.9704 alpha=90.00 beta=90.00 gamma=120.00
Closest atoms and distances in Å follow each position.
Positions (direct):
U: 0.8478 0.6214 0.5267  7 Se 2.79-3.08
U: 0.2264 0.8478 0.0267  7 Se 2.79-3.08
U: 0.1522 0.3786 0.0267  7 Se 2.79-3.08
U: 0.3786 0.2264 0.5267  7 Se 2.79-3.08
U: 0.6214 0.7736 0.0267  7 Se 2.79-3.08
U: 0.7736 0.1522 0.5267  7 Se 2.79-3.08
Cu: 0.6667 0.3333 0.1591  4 Se 2.39-2.42
Cu: 0.0000 0.0000 0.0002  3 Se 2.34
Cu: 0.3333 0.6667 0.6591  4 Se 2.39-2.42
Cu: 0.0000 0.0000 0.5002  3 Se 2.34
Se: 0.0765 0.5644 0.7792  1 Cu 2.39
Se: 0.2646 0.1544 0.0136  1 Cu 2.34
Se: 0.4356 0.5120 0.7792  1 Cu 2.39
Se: 0.6667 0.3333 0.7531  1 Cu 2.42
Se: 0.1544 0.8899 0.5136  1 Cu 2.34
Se: 0.8899 0.7354 0.0136  1 Cu 2.34
Se: 0.3333 0.6667 0.2531  1 Cu 2.42
Se: 0.1101 0.2646 0.5136  1 Cu 2.34
Se: 0.5120 0.0765 0.2792  1 Cu 2.39
Se: 0.9235 0.4356 0.2792  1 Cu 2.39
Se: 0.5644 0.4880 0.2792  1 Cu 2.39
Se: 0.7354 0.8456 0.5136  1 Cu 2.34
Se: 0.4880 0.9235 0.7792  1 Cu 2.39
Se: 0.8456 0.1101 0.0136  1 Cu 2.34

***

[7]
The following is a DFT calculation (PBE) of a geometry-optimized VCu3Se4 structure.

Output
- Piezoelectric modulus e_max: 0.16 C/m2

Unit cell a=5.6505 b=5.6505 c=5.6505 alpha=90.00 beta=90.00 gamma=90.00
Closest atoms and distances in Å follow each position.
Positions (direct):
V: 0.0000 0.0000 0.0000  4 Se 2.37
Cu: 0.0000 0.5000 0.0000  4 Se 2.42
Cu: 0.0000 0.0000 0.5000  4 Se 2.42
Cu: 0.5000 0.0000 0.0000  4 Se 2.42
Se: 0.2420 0.2420 0.2420  1 V 2.37, 3 Cu 2.42
Se: 0.7580 0.7580 0.2420  1 V 2.37, 3 Cu 2.42
Se: 0.2420 0.7580 0.7580  1 V 2.37, 3 Cu 2.42
Se: 0.7580 0.2420 0.7580  1 V 2.37, 3 Cu 2.42

***

[8]
The following is a DFT calculation (PBE) of a geometry-optimized Cu2WSe4 structure.

Unit cell a=5.6270 b=5.6270 c=5.3910 alpha=90.00 beta=90.00 gamma=90.00
Closest atoms and distances in Å follow each position.
Positions (direct):
Cu: 0.5000 0.0000 0.5000  4 Se 2.44
Cu: 0.0000 0.5000 0.5000  4 Se 2.44
W: 0.0000 0.0000 0.0000  4 Se 2.37
Se: 0.2503 0.7497 0.2381  1 W 2.37, 2 Cu 2.44
Se: 0.7497 0.2503 0.2381  1 W 2.37, 2 Cu 2.44
Se: 0.2503 0.2503 0.7619  1 W 2.37, 2 Cu 2.44
Se: 0.7497 0.7497 0.7619  1 W 2.37, 2 Cu 2.44

***

[9]
The following is a DFT calculation (PBE) of a geometry-optimized Cu2WSe4 structure.

Output
- Piezoelectric modulus e_max: 0.23 C/m2

Unit cell a=6.9463 b=6.9463 c=6.9463 alpha=132.39 beta=132.39 gamma=69.61
Closest atoms and distances in Å follow each position.
Positions (direct):
Cu: 0.0000 0.5000 0.5000  4 Se 2.44
Cu: 0.5000 0.0000 0.5000  4 Se 2.44
W: 0.0000 0.0000 0.0000  4 Se 2.38
Se: 0.8830 0.3658 0.0000  1 W 2.38, 2 Cu 2.44
Se: 0.3658 0.8830 0.0000  1 W 2.38, 2 Cu 2.44
Se: 0.6342 0.6342 0.5172  1 W 2.38, 2 Cu 2.44
Se: 0.1170 0.1170 0.4828  1 W 2.38, 2 Cu 2.44

***

[10]
The following is a DFT calculation (PBE) of a geometry-optimized Cu15Si4 structure.

Unit cell a=8.4044 b=8.4044 c=8.4044 alpha=109.47 beta=109.47 gamma=109.47
Closest atoms and distances in Å follow each position.
Positions (direct):
Cu: 0.6250 0.3750 0.2500  8 Cu 2.49-2.59, 4 Si 2.62
Cu: 0.2500 0.6250 0.3750  8 Cu 2.49-2.59, 4 Si 2.62
Cu: 0.7500 0.8750 0.1250  8 Cu 2.49-2.59, 4 Si 2.62
Cu: 0.1250 0.7500 0.8750  8 Cu 2.49-2.59, 4 Si 2.62
Cu: 0.3750 0.2500 0.6250  8 Cu 2.49-2.59, 4 Si 2.62
Cu: 0.8750 0.1250 0.7500  8 Cu 2.49-2.59, 4 Si 2.62
Cu: 0.0735 0.2750 0.1235  3 Si 2.43-2.58, 6 Cu 2.49-2.59
Cu: 0.7015 0.0500 0.9265  3 Si 2.43-2.58, 6 Cu 2.49-2.59
Cu: 0.8765 0.4500 0.1515  3 Si 2.43-2.58, 6 Cu 2.49-2.59
Cu: 0.1515 0.8765 0.4500  3 Si 2.43-2.58, 6 Cu 2.49-2.59
Cu: 0.3485 0.7985 0.7250  3 Si 2.43-2.58, 6 Cu 2.49-2.59
Cu: 0.7250 0.3485 0.7985  3 Si 2.43-2.58, 6 Cu 2.49-2.59
Cu: 0.0500 0.9265 0.7015  3 Si 2.43-2.58, 6 Cu 2.49-2.59
Cu: 0.2250 0.2985 0.8485  3 Si 2.43-2.58, 6 Cu 2.49-2.59
Cu: 0.2015 0.4265 0.5500  3 Si 2.43-2.58, 6 Cu 2.49-2.59
Cu: 0.9500 0.3765 0.6515  3 Si 2.43-2.58, 6 Cu 2.49-2.59
Cu: 0.2985 0.8485 0.2250  3 Si 2.43-2.58, 6 Cu 2.49-2.59
Cu: 0.5500 0.2015 0.4265  3 Si 2.43-2.58, 6 Cu 2.49-2.59
Cu: 0.3765 0.6515 0.9500  3 Si 2.43-2.58, 6 Cu 2.49-2.59
Cu: 0.1235 0.0735 0.2750  3 Si 2.43-2.58, 6 Cu 2.49-2.59
Cu: 0.2750 0.1235 0.0735  3 Si 2.43-2.58, 6 Cu 2.49-2.59
Cu: 0.8485 0.2250 0.2985  3 Si 2.43-2.58, 6 Cu 2.49-2.59
Cu: 0.4265 0.5500 0.2015  3 Si 2.43-2.58, 6 Cu 2.49-2.59
Cu: 0.6515 0.9500 0.3765  3 Si 2.43-2.58, 6 Cu 2.49-2.59
Cu: 0.6235 0.7750 0.5735  3 Si 2.43-2.58, 6 Cu 2.49-2.59
Cu: 0.5735 0.6235 0.7750  3 Si 2.43-2.58, 6 Cu 2.49-2.59
Cu: 0.7750 0.5735 0.6235  3 Si 2.43-2.58, 6 Cu 2.49-2.59
Cu: 0.7985 0.7250 0.3485  3 Si 2.43-2.58, 6 Cu 2.49-2.59
Cu: 0.9265 0.7015 0.0500  3 Si 2.43-2.58, 6 Cu 2.49-2.59
Cu: 0.4500 0.1515 0.8765  3 Si 2.43-2.58, 6 Cu 2.49-2.59
Si: 0.4115 0.4115 0.4115  12 Cu 2.43-2.62
Si: 0.5000 0.0000 0.5885  12 Cu 2.43-2.62
Si: 0.5885 0.5000 0.0000  12 Cu 2.43-2.62
Si: 0.0000 0.5885 0.5000  12 Cu 2.43-2.62
Si: 0.0885 0.5000 0.0000  12 Cu 2.43-2.62
Si: 0.0000 0.0885 0.5000  12 Cu 2.43-2.62
Si: 0.5000 0.0000 0.0885  12 Cu 2.43-2.62
Si: 0.9115 0.9115 0.9115  12 Cu 2.43-2.62

***

Computed V, in the same sequence as the records: 262.2; 277.3; 172.4; 207.5; 1029.6; 533.6; 180.4; 170.7; 179.3; 457.0 Å³/cell.
Computed DFT formation energy, in the same sequence as the records: -196; 201; -317; -249; -1292; -1186; -723; -414; -602; -59 meV per atom.